Computed, not measured: BPd5 after structural relaxation at the GGA-PBE level of DFT.

* SG: P2_1/c
* electronic total energy: -5.65 eV per atom
* formation energy: -0.218 eV/atom

Lattice parameters (Å, degrees): 6.418 8.218 9.077 90.00 134.52 90.00
Fractional positions:
B (0.209, 0.130, 0.156)
B (0.209, 0.370, 0.656)
B (0.791, 0.630, 0.344)
B (0.791, 0.870, 0.844)
Pd (0.003, 0.625, 0.247)
Pd (0.003, 0.875, 0.747)
Pd (0.198, 0.119, 0.650)
Pd (0.198, 0.381, 0.150)
Pd (0.207, 0.629, 0.655)
Pd (0.207, 0.871, 0.155)
Pd (0.391, 0.625, 0.044)
Pd (0.391, 0.875, 0.544)
Pd (0.405, 0.125, 0.048)
Pd (0.405, 0.375, 0.548)
Pd (0.595, 0.625, 0.452)
Pd (0.595, 0.875, 0.952)
Pd (0.609, 0.125, 0.456)
Pd (0.609, 0.375, 0.956)
Pd (0.793, 0.129, 0.845)
Pd (0.793, 0.371, 0.345)
Pd (0.802, 0.619, 0.850)
Pd (0.802, 0.881, 0.350)
Pd (0.997, 0.125, 0.253)
Pd (0.997, 0.375, 0.753)

***

Computed, not measured: NdTl2InTe4 after structural relaxation at the GGA-PBE level of DFT.

* SG: I-42m
* electronic total energy: -3.74 eV per atom
* formation energy: -0.847 eV/atom

Lattice parameters (Å, degrees): 8.577 8.577 7.670 90.00 90.00 90.00
Fractional positions:
Nd (0.000, 0.000, 0.000)
Nd (0.500, 0.500, 0.500)
Tl (0.000, 0.500, 0.000)
Tl (0.000, 0.500, 0.500)
Tl (0.500, 0.000, 0.000)
Tl (0.500, 0.000, 0.500)
In (0.000, 0.000, 0.500)
In (0.500, 0.500, 0.000)
Te (0.187, 0.187, 0.725)
Te (0.187, 0.813, 0.275)
Te (0.313, 0.313, 0.225)
Te (0.313, 0.687, 0.775)
Te (0.687, 0.313, 0.775)
Te (0.687, 0.687, 0.225)
Te (0.813, 0.187, 0.275)
Te (0.813, 0.813, 0.725)

***

Computed, not measured: Na26In4O19 after structural relaxation at the GGA-PBE level of DFT.

* SG: Cc
* electronic total energy: -4.20 eV per atom
* formation energy: -1.622 eV/atom

Lattice parameters (Å, degrees): 12.487 12.487 12.482 109.57 109.57 108.97
Fractional positions:
Na (0.010, 0.576, 0.093)
Na (0.019, 0.340, 0.965)
Na (0.023, 0.977, 0.500)
Na (0.044, 0.792, 0.311)
Na (0.058, 0.711, 0.923)
Na (0.070, 0.514, 0.728)
Na (0.104, 0.475, 0.412)
Na (0.106, 0.926, 0.146)
Na (0.118, 0.305, 0.640)
Na (0.204, 0.348, 0.184)
Na (0.220, 0.531, 0.965)
Na (0.220, 0.979, 0.703)
Na (0.245, 0.603, 0.310)
Na (0.250, 0.806, 0.512)
Na (0.280, 0.906, 0.929)
Na (0.287, 0.700, 0.736)
Na (0.305, 0.118, 0.140)
Na (0.310, 0.474, 0.610)
Na (0.340, 0.019, 0.465)
Na (0.346, 0.402, 0.886)
Na (0.348, 0.204, 0.684)
Na (0.402, 0.346, 0.386)
Na (0.414, 0.547, 0.189)
Na (0.422, 0.748, 0.992)
Na (0.474, 0.310, 0.110)
Na (0.475, 0.104, 0.912)
Na (0.490, 0.902, 0.739)
Na (0.514, 0.070, 0.228)
Na (0.520, 0.605, 0.870)
Na (0.531, 0.220, 0.465)
Na (0.547, 0.414, 0.689)
Na (0.576, 0.010, 0.593)
Na (0.603, 0.245, 0.810)
Na (0.605, 0.520, 0.370)
Na (0.616, 0.760, 0.218)
Na (0.700, 0.287, 0.236)
Na (0.711, 0.058, 0.423)
Na (0.714, 0.814, 0.855)
Na (0.748, 0.422, 0.492)
Na (0.760, 0.616, 0.718)
Na (0.765, 0.838, 0.572)
Na (0.792, 0.044, 0.811)
Na (0.806, 0.250, 0.012)
Na (0.814, 0.714, 0.355)
Na (0.838, 0.765, 0.072)
Na (0.845, 0.979, 0.283)
Na (0.902, 0.490, 0.239)
Na (0.906, 0.280, 0.429)
Na (0.926, 0.106, 0.646)
Na (0.977, 0.023, 0.000)
Na (0.979, 0.220, 0.203)
Na (0.979, 0.845, 0.783)
In (0.163, 0.163, 0.375)
In (0.163, 0.163, 0.875)
In (0.347, 0.841, 0.236)
In (0.479, 0.660, 0.555)
In (0.660, 0.479, 0.055)
In (0.660, 0.977, 0.054)
In (0.841, 0.347, 0.736)
In (0.977, 0.660, 0.554)
O (0.019, 0.507, 0.902)
O (0.034, 0.410, 0.177)
O (0.036, 0.969, 0.309)
O (0.052, 0.796, 0.499)
O (0.098, 0.294, 0.439)
O (0.104, 0.718, 0.748)
O (0.163, 0.164, 0.204)
O (0.164, 0.163, 0.704)
O (0.215, 0.775, 0.300)
O (0.229, 0.358, 0.006)
O (0.273, 0.908, 0.109)
O (0.286, 0.533, 0.800)
O (0.294, 0.098, 0.939)
O (0.307, 0.660, 0.552)
O (0.358, 0.229, 0.506)
O (0.400, 0.709, 0.152)
O (0.410, 0.034, 0.677)
O (0.410, 0.525, 0.362)
O (0.465, 0.911, 0.920)
O (0.507, 0.019, 0.402)
O (0.525, 0.410, 0.862)
O (0.533, 0.286, 0.300)
O (0.545, 0.596, 0.688)
O (0.596, 0.545, 0.188)
O (0.617, 0.855, 0.646)
O (0.660, 0.307, 0.052)
O (0.662, 0.808, 0.057)
O (0.709, 0.400, 0.652)
O (0.718, 0.104, 0.248)
O (0.775, 0.215, 0.800)
O (0.796, 0.052, 0.999)
O (0.803, 0.917, 0.430)
O (0.808, 0.662, 0.557)
O (0.855, 0.617, 0.146)
O (0.908, 0.273, 0.609)
O (0.911, 0.465, 0.420)
O (0.917, 0.803, 0.930)
O (0.969, 0.036, 0.809)